No. 1
# PBE K2CdSiO4, optimized geometry
# energy of formation from the pure elements	-1819	kJ/mol of formula units
data_K2CdSiO4
_symmetry_space_group_name_H-M 'P c a 21'
_symmetry_Int_Tables_number 29
_symmetry_space_group_name_Hall 'P 2c -2ac'
_cell_length_a 11.447
_cell_length_b 5.693
_cell_length_c 16.230
_cell_angle_alpha 90.00
_cell_angle_beta 90.00
_cell_angle_gamma 90.00
loop_
_atom_site_label
_atom_site_type_symbol
_atom_site_fract_x
_atom_site_fract_y
_atom_site_fract_z
K1 K 0.009 0.010 0.000
K2 K 0.015 0.505 0.380
K3 K 0.228 0.547 0.753
K4 K 0.239 0.039 0.620
Cd1 Cd 0.011 0.510 0.128
Cd2 Cd 0.242 0.035 0.876
Si1 Si 0.008 0.015 0.250
Si2 Si 0.232 0.523 0.507
O1 O 0.011 0.272 0.740
O2 O 0.031 0.856 0.663
O3 O 0.073 0.895 0.829
O4 O 0.110 0.377 0.530
O5 O 0.146 0.088 0.268
O6 O 0.191 0.360 0.942
O7 O 0.193 0.777 0.465
O8 O 0.194 0.571 0.093

No. 2
# PBE K4CdP2, optimized geometry
# energy of formation from the pure elements	-233	kJ/mol of formula units
data_K4CdP2
_symmetry_space_group_name_H-M 'R -3 m'
_symmetry_Int_Tables_number 166
_symmetry_space_group_name_Hall '-R 3 2"'
_cell_length_a 5.7251
_cell_length_b 5.7251
_cell_length_c 27.3420
_cell_angle_alpha 90.00
_cell_angle_beta 90.00
_cell_angle_gamma 120.00
loop_
_atom_site_label
_atom_site_type_symbol
_atom_site_fract_x
_atom_site_fract_y
_atom_site_fract_z
K1 K 0.0000 0.0000 0.1074
K2 K 0.0000 0.0000 0.2921
Cd1 Cd 0.0000 0.0000 0.5000
P1 P 0.0000 0.0000 0.4114

No. 3
# PBE K2CdPb, optimized geometry
# maximum piezoelectric response	0.1	C/m2
# energy of formation from the pure elements	-69	kJ/mol of formula units
data_K2CdPb
_symmetry_space_group_name_H-M 'A m a 2'
_symmetry_Int_Tables_number 40
_symmetry_space_group_name_Hall 'A 2 -2a'
_cell_length_a 6.659
_cell_length_b 8.728
_cell_length_c 11.164
_cell_angle_alpha 90.00
_cell_angle_beta 90.00
_cell_angle_gamma 90.00
loop_
_atom_site_label
_atom_site_type_symbol
_atom_site_fract_x
_atom_site_fract_y
_atom_site_fract_z
K1 K 0.250 0.142 0.000
K2 K 0.250 0.150 0.648
Cd1 Cd 0.000 0.000 0.328
Pb1 Pb 0.250 0.274 0.323